No. 1
Compound: VCoSi
Source: Materials Project
Functional: GGA-PBE
Structure: relaxed

Output
**Crystal system**: orthorhombic
**SG**: Amm2, No. 38
**M_tot**: 0.36 μB/f.u.
**ΔE_f**: -380 meV/atom

a b c (Å): 7.3469 4.6879 4.6879
angles (deg): 61.07 90.00 90.00
With the nearest neighbours (Å) after each atom.
Sites, in units of the cell vectors:
V (0.1806, 0.0000, 0.0000)  4 V 2.65-2.91, 7 Si 2.68-2.73, 5 Co 2.69-2.77
V (0.3145, 0.6683, 0.6683)  5 Si 2.66-2.74, 7 Co 2.69-2.78, 4 V 2.73-2.91
V (0.6855, 0.6683, 0.6683)  5 Si 2.66-2.74, 7 Co 2.69-2.78, 4 V 2.73-2.91
V (0.8194, 0.0000, 0.0000)  4 V 2.65-2.91, 7 Si 2.68-2.73, 5 Co 2.69-2.77
Co (0.2415, 0.3330, 0.3330)  4 Si 2.25-2.32, 2 Co 2.37
Co (0.5000, 0.1676, 0.6794)  2 Si 2.28-2.40, 4 Co 2.33-2.44
Co (0.5000, 0.6794, 0.1676)  2 Si 2.28-2.40, 4 Co 2.33-2.44
Co (0.7585, 0.3330, 0.3330)  4 Si 2.25-2.32, 2 Co 2.37
Si (0.0000, 0.5047, 0.5047)  2 Co 2.25, 4 Si 2.29-2.39
Si (0.0000, 0.5058, 0.9936)  2 Co 2.26, 4 Si 2.29-2.44
Si (0.0000, 0.9936, 0.5058)  2 Co 2.26, 4 Si 2.29-2.44
Si (0.5000, 0.1669, 0.1669)  6 Co 2.28-2.40

---

No. 2
Compound: Sm2I2F
Source: Materials Project
Functional: GGA-PBE
Structure: relaxed

Output
**Crystal system**: tetragonal
**SG**: P4/mmm, No. 123
**M_tot**: 0.81 μB/f.u.
**ΔE_f**: -1174 meV/atom

a b c (Å): 4.0872 4.0872 14.3327
angles (deg): 90.00 90.00 90.00
With the nearest neighbours (Å) after each atom.
Sites, in units of the cell vectors:
Sm (0.0000, 0.0000, 0.1589)  1 F 2.28
Sm (0.0000, 0.0000, 0.8411)  1 F 2.28
I (0.0000, 0.0000, 0.3558)  1 Sm 2.82
I (0.0000, 0.0000, 0.6442)  1 Sm 2.82
F (0.0000, 0.0000, 0.0000)  2 Sm 2.28

---

No. 3
Compound: Cu2SO5
Source: Materials Project
Functional: GGA-PBE
Structure: relaxed

Output
**Crystal system**: monoclinic
**SG**: C2/m, No. 12
**ΔE_f**: -1354 meV/atom

a b c (Å): 5.7297 5.7297 7.8589
angles (deg): 117.26 117.26 68.10
With the nearest neighbours (Å) after each atom.
Sites, in units of the cell vectors:
Cu (0.0000, 0.5000, 0.0000)  4 O 1.91-2.01
Cu (0.0801, 0.0801, 0.2189)  3 O 1.92-2.02
Cu (0.5000, 0.0000, 0.0000)  4 O 1.91-2.01
Cu (0.9199, 0.9199, 0.7811)  3 O 1.92-2.02
S (0.4041, 0.4041, 0.6860)  4 O 1.46-1.52
S (0.5959, 0.5959, 0.3140)  4 O 1.46-1.52
O (0.1494, 0.1494, 0.0177)  4 Cu 1.91-2.02
O (0.2914, 0.6746, 0.2452)  1 S 1.52
O (0.2999, 0.2999, 0.7698)  1 S 1.46
O (0.3055, 0.3055, 0.4601)  1 S 1.48
O (0.3254, 0.7086, 0.7548)  1 S 1.52
O (0.6746, 0.2914, 0.2452)  1 S 1.52
O (0.6945, 0.6945, 0.5399)  1 S 1.48
O (0.7001, 0.7001, 0.2302)  1 S 1.46
O (0.7086, 0.3254, 0.7548)  1 S 1.52
O (0.8506, 0.8506, 0.9823)  4 Cu 1.91-2.02

---

Which of these has the highest ΔE_f? VCoSi

---

Number 1 is which compound? VCoSi

---

Which value of ΔE_f does entry 1 give? -380 meV/atom